1.
# Cd3H2CSeO8

Cd3H2CSeO8 after structural relaxation (GGA-PBE, Materials Project).

Unit cell a=6.689 b=10.574 c=10.651 alpha=90.00 beta=90.00 gamma=90.00
Sites, in units of the cell vectors:
Cd (0.530, 0.333, 0.955)
O (0.662, 0.908, 0.144)
O (0.338, 0.092, 0.644)
O (0.162, 0.592, 0.356)
Cd (0.251, 0.874, 0.750)
Cd (0.249, 0.374, 0.250)
O (0.881, 0.336, 0.250)
O (0.711, 0.173, 0.037)
Se (0.248, 0.026, 0.250)
O (0.289, 0.827, 0.963)
H (0.642, 0.096, 0.010)
O (0.574, 0.460, 0.371)
O (0.789, 0.673, 0.963)
O (0.574, 0.460, 0.129)
Cd (0.470, 0.667, 0.455)
H (0.858, 0.596, 0.990)
O (0.162, 0.592, 0.144)
O (0.047, 0.762, 0.250)
C (0.875, 0.352, 0.750)
Cd (0.970, 0.833, 0.045)
Cd (0.030, 0.167, 0.545)
H (0.642, 0.096, 0.490)
O (0.926, 0.960, 0.871)
O (0.926, 0.960, 0.629)
Se (0.752, 0.974, 0.750)
C (0.375, 0.148, 0.750)
O (0.789, 0.673, 0.537)
O (0.711, 0.173, 0.463)
H (0.142, 0.404, 0.010)
O (0.211, 0.327, 0.463)
O (0.074, 0.040, 0.129)
O (0.074, 0.040, 0.371)
H (0.358, 0.904, 0.990)
Cd (0.970, 0.833, 0.455)
O (0.838, 0.408, 0.644)
H (0.858, 0.596, 0.510)
C (0.625, 0.852, 0.250)
O (0.289, 0.827, 0.537)
C (0.125, 0.648, 0.250)
Se (0.748, 0.474, 0.250)
Cd (0.530, 0.333, 0.545)
O (0.426, 0.540, 0.629)
O (0.119, 0.664, 0.750)
O (0.662, 0.908, 0.356)
O (0.619, 0.836, 0.750)
O (0.953, 0.238, 0.750)
O (0.426, 0.540, 0.871)
O (0.338, 0.092, 0.856)
Cd (0.749, 0.126, 0.250)
Cd (0.751, 0.626, 0.750)
Cd (0.030, 0.167, 0.955)
O (0.453, 0.262, 0.750)
H (0.142, 0.404, 0.490)
O (0.547, 0.738, 0.250)
O (0.381, 0.164, 0.250)
H (0.358, 0.904, 0.510)
Cd (0.470, 0.667, 0.045)
Se (0.252, 0.526, 0.750)
O (0.838, 0.408, 0.856)
O (0.211, 0.327, 0.037)

Calculated values
space group: No. 62
formation energy from the elements: -2168 kJ/mol of formula units
density: 4.921 g cm⁻³

---

2.
# U12Cd4H6C4O51

U12Cd4H6C4O51 after structural relaxation (GGA-PBE, Materials Project).

Unit cell a=7.106 b=11.529 c=15.280 alpha=108.13 beta=95.52 gamma=89.12
Sites, in units of the cell vectors:
O (0.596, 0.588, 0.148)
O (0.339, 0.597, 0.759)
U (0.655, 0.593, 0.273)
O (0.192, 0.931, 0.320)
U (0.346, 0.407, 0.727)
O (0.149, 0.749, 0.421)
U (0.339, 0.771, 0.729)
O (0.847, 0.774, 0.290)
O (0.277, 0.389, 0.602)
Cd (0.998, 0.355, 0.499)
O (0.152, 0.190, 0.414)
O (0.978, 0.255, 0.255)
O (0.610, 0.146, 0.148)
O (0.097, 0.463, 0.406)
O (0.824, 0.289, 0.830)
Cd (0.598, 0.288, 0.928)
O (0.336, 0.551, 0.285)
O (0.851, 0.656, 0.885)
O (0.852, 0.251, 0.580)
O (0.978, 0.551, 0.257)
U (0.163, 0.097, 0.290)
U (0.653, 0.926, 0.309)
O (0.023, 0.449, 0.743)
O (0.154, 0.226, 0.710)
H (0.738, 0.878, 0.068)
O (0.336, 0.280, 0.278)
C (0.756, 0.712, 0.954)
H (0.262, 0.123, 0.932)
O (0.210, 0.548, 0.976)
O (0.176, 0.711, 0.171)
O (0.607, 0.662, 0.965)
U (0.145, 0.410, 0.271)
O (0.149, 0.344, 0.115)
H (0.966, 0.813, 0.055)
O (0.845, 0.059, 0.285)
O (0.255, 0.885, 0.041)
O (0.717, 0.312, 0.398)
O (0.502, 0.462, 0.488)
O (0.487, 0.766, 0.316)
C (0.166, 0.169, 0.983)
O (0.514, 0.235, 0.684)
O (0.517, 0.912, 0.690)
O (0.483, 0.088, 0.310)
O (0.724, 0.611, 0.398)
H (0.132, 0.109, 0.023)
H (0.868, 0.891, 0.977)
O (0.279, 0.691, 0.604)
C (0.244, 0.288, 0.046)
O (0.745, 0.115, 0.960)
O (0.154, 0.942, 0.715)
H (0.034, 0.187, 0.945)
Cd (0.401, 0.712, 0.073)
C (0.834, 0.832, 0.017)
O (0.393, 0.338, 0.035)
O (0.807, 0.068, 0.680)
O (0.176, 0.016, 0.165)
O (0.661, 0.402, 0.241)
U (0.348, 0.074, 0.691)
U (0.163, 0.736, 0.297)
O (0.790, 0.452, 0.024)
O (0.849, 0.810, 0.586)
O (0.665, 0.449, 0.716)
O (0.715, 0.980, 0.433)
O (0.902, 0.537, 0.595)
O (0.392, 0.853, 0.852)
O (0.403, 0.411, 0.852)
O (0.022, 0.746, 0.746)
U (0.855, 0.590, 0.730)
O (0.285, 0.020, 0.567)
U (0.837, 0.902, 0.710)
U (0.660, 0.229, 0.271)
O (0.573, 0.869, 0.182)
Cd (0.001, 0.645, 0.501)
U (0.838, 0.264, 0.703)
O (0.664, 0.719, 0.721)
O (0.823, 0.984, 0.835)
O (0.427, 0.131, 0.818)

Calculated values
space group: No. 1
formation energy from the elements: -17336 kJ/mol of formula units
density: 5.856 g cm⁻³

---

3.
# K2CdC4N4

K2CdC4N4 after structural relaxation (GGA-PBE, Materials Project).

Unit cell a=9.237 b=9.237 c=9.237 alpha=60.00 beta=60.00 gamma=60.00
Sites, in units of the cell vectors:
N (0.350, 0.350, 0.350)
C (0.455, 0.848, 0.848)
K (0.125, 0.625, 0.125)
C (0.402, 0.402, 0.402)
C (0.848, 0.455, 0.848)
Cd (0.750, 0.750, 0.750)
N (0.350, 0.950, 0.350)
N (0.350, 0.350, 0.950)
C (0.848, 0.848, 0.848)
C (0.848, 0.848, 0.455)
N (0.900, 0.300, 0.900)
K (0.625, 0.125, 0.125)
N (0.950, 0.350, 0.350)
Cd (0.500, 0.500, 0.500)
N (0.900, 0.900, 0.900)
C (0.402, 0.795, 0.402)
C (0.402, 0.402, 0.795)
N (0.300, 0.900, 0.900)
C (0.795, 0.402, 0.402)
K (0.125, 0.125, 0.625)
K (0.125, 0.125, 0.125)
N (0.900, 0.900, 0.300)

Calculated values
space group: No. 227
formation energy from the elements: -203 kJ/mol of formula units
density: 1.756 g cm⁻³

---

4.
# KCdC3O6

KCdC3O6 after structural relaxation (GGA-PBE, Materials Project).

Unit cell a=7.326 b=7.326 c=7.322 alpha=86.92 beta=86.92 gamma=79.46
Sites, in units of the cell vectors:
O (0.211, 0.269, 0.352)
O (0.731, 0.789, 0.148)
O (0.157, 0.514, 0.767)
O (0.238, 0.867, 0.111)
O (0.762, 0.133, 0.889)
O (0.269, 0.211, 0.852)
O (0.843, 0.486, 0.233)
O (0.789, 0.731, 0.648)
C (0.617, 0.752, 0.642)
O (0.486, 0.843, 0.733)
C (0.757, 0.243, 0.750)
K (0.898, 0.102, 0.250)
C (0.248, 0.383, 0.858)
O (0.133, 0.762, 0.389)
C (0.243, 0.757, 0.250)
O (0.514, 0.157, 0.267)
K (0.102, 0.898, 0.750)
Cd (0.000, 0.500, 0.500)
O (0.867, 0.238, 0.611)
C (0.383, 0.248, 0.358)
Cd (0.500, 0.000, 0.000)
C (0.752, 0.617, 0.142)

Calculated values
space group: No. 15
formation energy from the elements: -1345 kJ/mol of formula units
density: 2.443 g cm⁻³

---

5.
# Mg14CdCO16

Mg14CdCO16 after structural relaxation (GGA-PBE, Materials Project).

Unit cell a=8.614 b=8.570 c=4.286 alpha=90.00 beta=90.00 gamma=90.00
Sites, in units of the cell vectors:
O (0.746, 0.500, 0.000)
O (0.248, 0.250, 0.500)
O (0.248, 0.750, 0.500)
Mg (0.250, 0.255, 0.000)
O (0.000, 0.267, 0.000)
C (0.000, 0.500, 0.000)
Mg (0.250, 0.745, 0.000)
O (0.752, 0.750, 0.500)
O (0.735, 0.000, 0.000)
O (0.000, 0.500, 0.500)
O (0.000, 0.733, 0.000)
O (0.265, 0.000, 0.000)
O (0.500, 0.500, 0.500)
O (0.254, 0.500, 0.000)
Cd (0.000, 0.000, 0.000)
Mg (0.500, 0.251, 0.500)
O (0.500, 0.253, 0.000)
Mg (0.247, 0.500, 0.500)
Mg (0.753, 0.500, 0.500)
Mg (0.255, 0.000, 0.500)
O (0.000, 0.000, 0.500)
Mg (0.750, 0.745, 0.000)
Mg (0.000, 0.259, 0.500)
Mg (0.500, 0.000, 0.000)
Mg (0.500, 0.500, 0.000)
Mg (0.745, 0.000, 0.500)
Mg (0.500, 0.749, 0.500)
O (0.500, 0.000, 0.500)
O (0.752, 0.250, 0.500)
O (0.500, 0.747, 0.000)
Mg (0.750, 0.255, 0.000)
Mg (0.000, 0.741, 0.500)

Calculated values
space group: No. 47
formation energy from the elements: -8023 kJ/mol of formula units
density: 3.783 g cm⁻³

---

6.
# Mg14CdCO16

Mg14CdCO16 after structural relaxation (GGA-PBE, Materials Project).

Unit cell a=8.593 b=8.593 c=4.287 alpha=90.00 beta=90.00 gamma=90.00
Sites, in units of the cell vectors:
Mg (0.744, 0.000, 0.500)
O (0.251, 0.500, 0.000)
O (0.000, 0.734, 0.000)
O (0.749, 0.500, 0.000)
O (0.266, 0.000, 0.000)
Mg (0.746, 0.500, 0.500)
O (0.749, 0.251, 0.500)
O (0.000, 0.000, 0.500)
O (0.000, 0.266, 0.000)
O (0.500, 0.000, 0.500)
Mg (0.254, 0.500, 0.500)
O (0.500, 0.500, 0.500)
Mg (0.500, 0.000, 0.000)
Mg (0.500, 0.254, 0.500)
Mg (0.745, 0.255, 0.000)
Mg (0.745, 0.745, 0.000)
O (0.251, 0.749, 0.500)
Mg (0.500, 0.746, 0.500)
O (0.500, 0.251, 0.000)
Mg (0.255, 0.255, 0.000)
Mg (0.256, 0.000, 0.500)
Mg (0.000, 0.256, 0.500)
O (0.734, 0.000, 0.000)
O (0.251, 0.251, 0.500)
Mg (0.000, 0.500, 0.000)
O (0.500, 0.749, 0.000)
Mg (0.000, 0.744, 0.500)
O (0.749, 0.749, 0.500)
O (0.000, 0.500, 0.500)
C (0.500, 0.500, 0.000)
Cd (0.000, 0.000, 0.000)
Mg (0.255, 0.745, 0.000)

Calculated values
space group: No. 123
formation energy from the elements: -8016 kJ/mol of formula units
density: 3.780 g cm⁻³